No. 1
VASP calculation (PBE) on a geometry-optimized Bi3Sb5Pb4O21 structure.

Results
Total energy after the MP2020 corrections (Ry/atom): -0.4689
Energy of formation (eV per formula unit): -59.45

Structure (extended XYZ):
```
33
Lattice="7.432 0.000 0.000 3.667 6.496 0.000 0.063 0.028 10.179" Properties=species:S:1:pos:R:3 pbc="T T T"
O 5.247 1.336 6.055
O 7.399 6.018 1.961
O 3.849 6.416 5.164
O 3.778 3.870 6.025
O 5.968 5.138 4.188
O 5.985 5.211 9.751
O 5.262 3.064 8.207
O 11.089 6.498 2.484
O 0.064 0.049 7.721
O 8.916 5.204 9.737
O 5.165 1.321 0.451
O 3.773 0.475 8.230
O 8.905 5.166 4.141
O 5.931 3.470 1.979
O 2.279 3.049 8.219
O 3.694 3.872 0.436
O 2.251 1.315 0.450
O 7.475 2.650 9.763
O 7.439 2.622 4.185
O 8.909 3.473 1.972
O 2.302 1.321 6.066
Pb 9.242 5.429 6.767
Pb 3.676 6.493 0.007
Pb 1.852 1.126 3.391
Pb 5.541 1.134 3.351
Sb 7.424 4.314 3.079
Sb 3.768 2.189 7.145
Sb 5.556 3.255 0.002
Sb 7.381 6.487 0.005
Sb 1.901 3.274 10.179
Bi 3.660 4.637 3.610
Bi 7.413 1.936 6.508
Bi 5.368 5.537 6.550
```



No. 2
VASP calculation (PBE) on a geometry-optimized Ti10BiPb9O30 structure.

Results
Total energy after the MP2020 corrections (Ry/atom): -0.5877
Energy of formation (eV per formula unit): -135.10

Structure (extended XYZ):
```
50
Lattice="-8.772 0.000 0.000 -0.005 -8.773 0.000 3.509 1.754 8.568" Properties=species:S:1:pos:R:3 pbc="T T T"
O -4.357 -4.390 3.769
O -7.894 -1.761 1.633
O -3.462 -6.109 5.834
O -0.001 -4.387 1.612
O -4.385 0.004 1.638
O -3.514 -6.141 1.617
O -1.755 -0.877 5.905
O -2.602 -3.562 5.833
O -6.140 -0.879 3.772
O -0.053 -4.420 5.834
O -2.632 0.884 8.042
O -4.398 0.038 5.900
O -5.260 -2.632 1.634
O -0.881 -2.641 8.039
O -0.880 -7.020 1.613
O -2.630 -7.863 3.769
O -6.144 -5.264 1.641
O -4.379 -4.387 8.036
O 0.840 -6.136 3.770
O 2.630 -0.876 8.048
O -0.914 -6.967 5.833
O -1.754 -0.877 1.638
O -6.143 -5.264 5.906
O -2.635 -3.506 1.612
O 0.865 -6.144 8.037
O -0.884 -2.665 3.767
O -7.026 -7.897 1.638
O 0.889 -1.793 5.899
O -5.226 -2.621 5.901
O 1.715 0.865 5.901
Ti -7.907 -6.139 1.990
Ti 0.921 -6.169 6.263
Ti -6.137 -0.877 1.992
Ti -6.141 -0.878 6.263
Ti -4.382 -4.393 1.989
Ti -4.435 -4.359 6.263
Ti -2.658 0.829 6.265
Ti -0.852 -2.586 6.262
Ti -0.884 -2.642 1.988
Ti -2.631 -7.883 1.989
Pb -3.501 -1.751 0.049
Pb -5.244 -7.027 4.258
Pb -5.273 -7.018 0.044
Pb 0.008 0.022 4.257
Pb 1.731 -3.501 4.255
Pb -7.022 -3.509 0.049
Pb -3.518 -1.776 4.255
Pb -0.001 -0.012 0.049
Pb -1.757 -5.257 0.039
Bi -1.757 -5.264 4.548
```



No. 3
VASP calculation (PBE) on a geometry-optimized Ti5ZnBi2Pb4O18 structure.

Results
Total energy after the MP2020 corrections (Ry/atom): -0.5612
Energy of formation (eV per formula unit): -76.62

Structure (extended XYZ):
```
30
Lattice="-5.384 2.520 0.854 -4.902 -0.955 -3.335 -5.982 -10.313 7.866" Properties=species:S:1:pos:R:3 pbc="T T T"
Pb -10.225 1.475 -2.400
Pb -11.748 -7.502 4.871
Pb -7.326 -6.310 4.391
Pb -13.213 -3.508 1.390
O -10.446 -6.993 2.824
O -6.246 -4.041 4.421
O -5.781 0.553 -1.123
O -6.004 -5.784 2.319
O -2.995 -0.611 -1.541
O -7.317 -8.459 6.175
O -9.708 -8.986 4.543
O -7.709 -0.106 0.970
O -4.414 -3.224 2.166
O -9.951 -7.237 6.651
O -7.099 -2.144 2.662
O -3.225 1.050 0.462
O -13.197 -5.761 3.260
O -10.685 -5.262 4.910
O -6.869 -3.802 0.663
O -8.776 -4.556 2.769
O -7.470 -1.831 -1.110
O -9.828 -0.488 -0.726
Ti -7.512 0.180 -1.013
Ti -10.468 -4.993 2.937
Ti -4.620 -7.769 5.912
Ti -9.026 -8.899 6.343
Ti -6.068 -3.816 2.467
Bi -8.524 -2.249 0.885
Bi -4.070 -1.188 0.517
Zn -11.654 -1.071 -0.452
```



No. 4
VASP calculation (PBE) on a geometry-optimized Bi2PdO4 structure.

Results
Total energy after the MP2020 corrections (Ry/atom): -0.4474
Energy of formation (eV per formula unit): -9.86
Offset from the most stable computed form (meV/atom): 0

Structure (extended XYZ):
```
28
Lattice="-3.554 -7.782 -0.995 7.497 -3.691 2.085 -1.655 -0.004 5.944" Properties=species:S:1:pos:R:3 pbc="T T T"
O 4.031 -3.434 4.882
O 3.783 -5.998 3.691
O -1.205 -5.478 2.302
O 0.054 -7.576 0.570
O 1.249 -3.150 4.108
O 0.750 -8.328 3.965
O 1.627 -1.841 1.012
O -2.032 -8.044 3.191
O 4.214 -5.534 7.014
O -0.932 -2.591 2.380
O -3.291 -5.946 4.923
O -1.311 -3.900 5.476
O 2.026 -9.632 1.117
O 3.510 -8.885 3.613
O 2.234 -7.581 6.461
O 3.600 -3.897 1.560
Pd 2.789 -1.848 4.490
Pd 3.616 -1.846 1.518
Pd -2.472 -3.893 1.999
Pd -3.300 -3.895 4.970
Bi -2.051 -7.073 1.025
Bi 2.018 -9.486 5.358
Bi -0.557 -1.993 4.647
Bi 0.874 -3.748 1.842
Bi 2.242 -7.727 2.220
Bi -1.186 -6.449 4.468
Bi 5.167 -4.401 3.036
Bi 2.647 -5.030 5.537
```



No. 5
VASP calculation (PBE) on a geometry-optimized BiPd2O4 structure.

Results
Total energy after the MP2020 corrections (Ry/atom): -0.4302
Energy of formation (eV per formula unit): -6.93
Offset from the most stable computed form (meV/atom): 157

Structure (extended XYZ):
```
14
Lattice="6.892 0.000 0.000 0.000 6.892 0.000 0.000 0.000 4.562" Properties=species:S:1:pos:R:3 pbc="T T T"
O 1.900 3.446 1.027
O 0.000 5.346 1.027
O 0.000 1.546 1.027
O 4.992 3.446 1.027
O 5.346 0.000 3.535
O 3.446 1.900 3.535
O 3.446 4.992 3.535
O 1.546 0.000 3.535
Bi 0.000 3.446 2.234
Bi 3.446 0.000 2.328
Pd 5.169 5.169 0.000
Pd 1.723 1.723 0.000
Pd 1.723 5.169 0.000
Pd 5.169 1.723 0.000
```



No. 6
VASP calculation (PBE) on a geometry-optimized Bi2PdO4 structure.

Results
Total energy after the MP2020 corrections (Ry/atom): -0.4413
Energy of formation (eV per formula unit): -9.27
Offset from the most stable computed form (meV/atom): 84

Structure (extended XYZ):
```
14
Lattice="-4.568 4.568 2.849 4.568 -4.568 2.849 4.568 4.568 -2.849" Properties=species:S:1:pos:R:3 pbc="T T T"
Bi 1.586 2.981 2.716
Bi 2.981 1.586 -0.132
Bi 2.981 -1.586 2.716
Bi 1.586 6.154 -0.132
O 1.782 -0.993 0.916
O 5.561 2.786 0.916
O -0.993 7.354 0.916
O 1.782 0.993 3.765
O 2.786 3.575 0.916
O -0.993 1.782 3.765
O 0.993 1.782 0.916
O 7.354 0.993 0.916
Pd 0.000 0.000 3.834
Pd 0.000 0.000 0.985
```



No. 7
VASP calculation (PBE) on a geometry-optimized BiPd2O4 structure.

Results
Total energy after the MP2020 corrections (Ry/atom): -0.4418
Energy of formation (eV per formula unit): -8.04
Offset from the most stable computed form (meV/atom): 0

Structure (extended XYZ):
```
14
Lattice="-4.205 -2.152 3.347 5.579 -1.919 1.824 -1.297 6.262 1.264" Properties=species:S:1:pos:R:3 pbc="T T T"
O -0.795 -0.717 3.168
O 2.372 -1.249 3.643
O -0.359 1.603 1.245
O 0.873 2.908 3.268
O 1.445 -0.876 1.073
O 0.437 0.589 5.191
O -2.294 3.440 2.793
O -1.367 3.067 5.362
Pd -2.103 -1.076 1.673
Pd 0.687 -2.035 2.586
Pd 0.039 1.096 3.218
Pd 0.000 0.000 0.000
Bi -3.116 1.757 4.134
Bi 3.194 0.434 2.301
```



No. 8
VASP calculation (PBE) on a geometry-optimized PrBiO4 structure.

Results
Total energy after the MP2020 corrections (Ry/atom): -0.5255
Energy of formation (eV per formula unit): -14.44

Structure (extended XYZ):
```
24
Lattice="-4.002 4.079 0.352 -5.679 -5.435 -1.581 -1.605 -2.227 7.558" Properties=species:S:1:pos:R:3 pbc="T T T"
O -1.228 -1.309 2.322
O -7.764 -3.900 3.565
O -3.935 -0.481 6.269
O -6.307 0.932 1.082
O -8.070 -1.001 2.534
O -7.767 -3.241 6.216
O -8.955 -0.755 -0.039
O -3.215 -2.583 3.795
O -5.358 -2.197 1.573
O -2.330 -2.828 6.368
O -3.521 0.317 2.764
O -7.350 -3.103 0.060
O -3.518 -0.343 0.114
O -4.978 -4.516 5.248
O -10.057 -2.274 4.007
O -5.926 -1.387 4.756
Bi -7.945 -1.991 4.441
Bi -6.982 -1.041 0.648
Bi -4.303 -2.542 5.682
Bi -3.340 -1.592 1.888
Pr -4.844 1.032 4.642
Pr -3.883 1.984 0.849
Pr -6.441 -4.616 1.688
Pr -7.402 -5.568 5.481
```



No. 9
VASP calculation (PBE) on a geometry-optimized Pr2BiO2 structure.

Results
Total energy after the MP2020 corrections (Ry/atom): -0.5511
Energy of formation (eV per formula unit): -14.14

Structure (extended XYZ):
```
5
Lattice="-2.030 2.030 7.085 2.030 -2.030 7.085 2.030 2.030 -7.085" Properties=species:S:1:pos:R:3 pbc="T T T"
Bi 0.000 0.000 0.000
O 2.030 0.000 3.542
O 0.000 2.030 3.542
Pr 0.000 0.000 4.741
Pr 0.000 0.000 9.429
```



No. 10
VASP calculation (PBE) on a geometry-optimized PrBiO4 structure.

Results
Total energy after the MP2020 corrections (Ry/atom): -0.5244
Energy of formation (eV per formula unit): -14.34

Structure (extended XYZ):
```
24
Lattice="5.685 0.000 0.000 0.000 5.756 0.000 0.000 0.000 10.983" Properties=species:S:1:pos:R:3 pbc="T T T"
O 5.583 0.289 9.702
O 2.740 3.166 6.773
O 2.945 2.589 4.211
O 2.156 0.407 6.917
O 2.156 2.471 9.558
O 5.583 2.589 6.773
O 0.686 2.471 1.426
O 2.945 0.289 1.281
O 4.999 5.349 6.917
O 4.999 3.284 9.558
O 3.529 5.349 4.066
O 2.740 5.467 9.702
O 0.102 3.166 4.211
O 0.102 5.467 1.281
O 0.686 0.407 4.066
O 3.529 3.284 1.426
Bi 1.421 1.164 0.000
Bi 4.264 4.592 0.000
Bi 4.264 4.042 5.492
Bi 1.421 1.714 5.492
Pr 4.587 1.439 2.746
Pr 1.744 4.317 2.746
Pr 3.941 1.439 8.238
Pr 1.098 4.317 8.238
```



No. 11
VASP calculation (PBE) on a geometry-optimized PrBi2O6 structure.

Results
Total energy after the MP2020 corrections (Ry/atom): -0.4892
Energy of formation (eV per formula unit): -17.66

Structure (extended XYZ):
```
18
Lattice="5.795 0.000 0.000 0.000 6.126 0.000 0.000 0.000 8.374" Properties=species:S:1:pos:R:3 pbc="T T T"
O 1.587 2.954 1.697
O 3.986 0.389 5.760
O 5.334 1.778 0.000
O 3.986 0.389 2.614
O 0.736 1.415 4.187
O 3.634 4.711 0.000
O 1.089 5.737 6.801
O 2.437 4.348 4.187
O 4.485 3.172 5.884
O 4.485 3.172 2.490
O 1.089 5.737 1.573
O 1.587 2.954 6.677
Bi 0.041 1.437 2.089
Bi 2.938 4.689 2.098
Bi 0.041 1.437 6.285
Bi 2.938 4.689 6.276
Pr 0.147 4.136 0.000
Pr 3.045 1.990 4.187
```



No. 12
VASP calculation (PBE) on a geometry-optimized SrPrZnBiO6 structure.

Results
Total energy after the MP2020 corrections (Ry/atom): -0.4703
Energy of formation (eV per formula unit): -22.68

Structure (extended XYZ):
```
10
Lattice="0.000 -4.118 -4.118 4.118 0.000 -4.118 4.118 -4.118 0.000" Properties=species:S:1:pos:R:3 pbc="T T T"
Sr 6.178 -6.178 -6.178
Zn 4.118 -4.118 -4.118
O 4.118 -6.147 -4.118
O 6.147 -4.118 -4.118
O 4.118 -4.118 -6.147
O 2.090 -4.118 -4.118
O 4.118 -2.090 -4.118
O 4.118 -4.118 -2.090
Bi 0.000 0.000 0.000
Pr 2.059 -2.059 -2.059
```



Computed volume, in the same sequence as the records: 14.89, 13.19, 13.71, 16.34, 15.48, 16.98, 13.37, 15.22, 23.35, 14.98, 16.52, 13.97 A^3/atom.